No. 1
Entry from the Materials Project database: a geometry-optimized Ta7BiO19 structure (PBE).

ΔH_f (0 K) in eV per atom: -3.191
Symmetry: P6_322 (182)
Mass density in g/cm³: 8.477
E above lowest polymorph in eV per atom: 0.007
Total magnetic moment in μB per atom: 0.000
VASP energy in eV/f.u.: -254.0

a = 6.2995 Å, b = 6.2995 Å, c = 20.2860 Å
α = 90.00°, β = 90.00°, γ = 120.00°
Closest atoms and distances in Å follow each position.
Fractional coordinates of all 54 atoms:
Ta (0.9975, 0.6412, 0.9057)  6 O 1.92-2.07
Ta (0.0025, 0.6437, 0.0943)  6 O 1.92-2.07
Ta (0.9975, 0.3563, 0.5943)  6 O 1.92-2.07
Ta (0.0025, 0.3588, 0.4057)  6 O 1.92-2.07
Ta (0.3333, 0.6667, 0.2500)  6 O 2.02
Ta (0.3588, 0.3563, 0.9057)  6 O 1.92-2.07
Ta (0.3563, 0.3588, 0.0943)  6 O 1.92-2.07
Ta (0.6412, 0.6437, 0.4057)  6 O 1.92-2.07
Ta (0.6437, 0.6412, 0.5943)  6 O 1.92-2.07
Ta (0.3563, 0.9975, 0.4057)  6 O 1.92-2.07
Ta (0.3588, 0.0025, 0.5943)  6 O 1.92-2.07
Ta (0.6667, 0.3333, 0.7500)  6 O 2.02
Ta (0.6437, 0.0025, 0.9057)  6 O 1.92-2.07
Ta (0.6412, 0.9975, 0.0943)  6 O 1.92-2.07
Bi (0.3333, 0.6667, 0.7500)  6 O 2.44
Bi (0.6667, 0.3333, 0.2500)  6 O 2.44
O (0.0028, 0.7569, 0.5968)  2 Ta 1.99-2.00
O (0.9972, 0.7541, 0.4032)  2 Ta 1.99-2.00
O (0.0000, 0.6084, 0.0000)  2 Ta 1.92
O (0.9529, 0.5713, 0.8062)  2 Ta 2.02-2.06
O (0.0471, 0.6184, 0.1938)  2 Ta 2.02-2.06
O (0.0471, 0.4287, 0.3062)  2 Ta 2.02-2.06
O (0.9529, 0.3816, 0.6938)  2 Ta 2.02-2.06
O (0.0000, 0.3916, 0.5000)  2 Ta 1.92
O (0.0028, 0.2459, 0.9032)  2 Ta 1.99-2.00
O (0.9972, 0.2431, 0.0968)  2 Ta 1.99-2.00
O (0.3333, 0.6667, 0.8890)  3 Ta 2.07
O (0.3333, 0.6667, 0.4095)  3 Ta 2.02
O (0.3333, 0.6667, 0.6110)  3 Ta 2.07
O (0.3333, 0.6667, 0.0905)  3 Ta 2.02
O (0.2431, 0.2459, 0.5968)  2 Ta 1.99-2.00
O (0.2459, 0.2431, 0.4032)  2 Ta 1.99-2.00
O (0.3916, 0.3916, 0.0000)  2 Ta 1.92
O (0.4287, 0.3816, 0.8062)  2 Ta 2.02-2.06
O (0.3816, 0.4287, 0.1938)  2 Ta 2.02-2.06
O (0.2431, 0.9972, 0.9032)  2 Ta 1.99-2.00
O (0.2459, 0.0028, 0.0968)  2 Ta 1.99-2.00
O (0.5713, 0.6184, 0.3062)  2 Ta 2.02-2.06
O (0.6184, 0.5713, 0.6938)  2 Ta 2.02-2.06
O (0.6084, 0.6084, 0.5000)  2 Ta 1.92
O (0.7541, 0.7569, 0.9032)  2 Ta 1.99-2.00
O (0.7569, 0.7541, 0.0968)  2 Ta 1.99-2.00
O (0.3916, 0.0000, 0.5000)  2 Ta 1.92
O (0.4287, 0.0471, 0.6938)  2 Ta 2.02-2.06
O (0.3816, 0.9529, 0.3062)  2 Ta 2.02-2.06
O (0.6667, 0.3333, 0.3890)  3 Ta 2.07
O (0.6667, 0.3333, 0.5905)  3 Ta 2.02
O (0.6667, 0.3333, 0.9095)  3 Ta 2.02
O (0.6667, 0.3333, 0.1110)  3 Ta 2.07
O (0.6184, 0.0471, 0.8062)  2 Ta 2.02-2.06
O (0.5713, 0.9529, 0.1938)  2 Ta 2.02-2.06
O (0.6084, 0.0000, 0.0000)  2 Ta 1.92
O (0.7541, 0.9972, 0.5968)  2 Ta 1.99-2.00
O (0.7569, 0.0028, 0.4032)  2 Ta 1.99-2.00



No. 2
Entry from the Materials Project database: a geometry-optimized TaBiO5 structure (PBE).

ΔH_f (0 K) in eV per atom: -1.829
Symmetry: Pbca (61)
Mass density in g/cm³: 5.291
E above lowest polymorph in eV per atom: 0.259
Total magnetic moment in μB per atom: 0.115
VASP energy in eV/f.u.: -49.9

a = 6.1635 Å, b = 11.9097 Å, c = 16.0726 Å
α = 90.00°, β = 90.00°, γ = 90.00°
Closest atoms and distances in Å follow each position.
Fractional coordinates of all 56 atoms:
Ta (0.9796, 0.3978, 0.6157)  4 O 1.79-1.99
Ta (0.5204, 0.8978, 0.3843)  4 O 1.79-1.99
Ta (0.0204, 0.6022, 0.3843)  4 O 1.79-1.99
Ta (0.4796, 0.1022, 0.6157)  4 O 1.79-1.99
Ta (0.0204, 0.1022, 0.1157)  4 O 1.79-1.99
Ta (0.9796, 0.8978, 0.8843)  4 O 1.79-1.99
Ta (0.5204, 0.3978, 0.1157)  4 O 1.79-1.99
Ta (0.4796, 0.6022, 0.8843)  4 O 1.79-1.99
Bi (0.9197, 0.8179, 0.2064)  4 O 2.09-2.33
Bi (0.0803, 0.1821, 0.7936)  4 O 2.09-2.33
Bi (0.5803, 0.3179, 0.7936)  4 O 2.09-2.33
Bi (0.0803, 0.6821, 0.7064)  4 O 2.09-2.33
Bi (0.4197, 0.1821, 0.2936)  4 O 2.09-2.33
Bi (0.4197, 0.6821, 0.2064)  4 O 2.09-2.33
Bi (0.5803, 0.8179, 0.7064)  4 O 2.09-2.33
Bi (0.9197, 0.3179, 0.2936)  4 O 2.09-2.33
O (0.8774, 0.2935, 0.7038)  1 Ta 1.99
O (0.2597, 0.0444, 0.0690)  1 Ta 1.79
O (0.2403, 0.5444, 0.9310)  1 Ta 1.79
O (0.2254, 0.7994, 0.1451)  2 Bi 2.09-2.14
O (0.2746, 0.2994, 0.8549)  2 Bi 2.09-2.14
O (0.8774, 0.7935, 0.7962)  1 Ta 1.99
O (0.2746, 0.7994, 0.6451)  2 Bi 2.09-2.14
O (0.6226, 0.7935, 0.2962)  1 Ta 1.99
O (0.2597, 0.5444, 0.4310)  1 Ta 1.79
O (0.1226, 0.7065, 0.2962)  1 Ta 1.99
O (0.6226, 0.2935, 0.2038)  1 Ta 1.99
O (0.6368, 0.1773, 0.5382)  1 Ta 1.81
O (0.7597, 0.9556, 0.4310)  1 Ta 1.79
O (0.7746, 0.7006, 0.6451)  2 Bi 2.09-2.14
O (0.1548, 0.0129, 0.8310)  1 Ta 1.94, 1 Bi 2.15
O (0.7597, 0.4556, 0.0690)  1 Ta 1.79
O (0.1226, 0.2065, 0.2038)  1 Ta 1.99
O (0.7254, 0.2006, 0.3549)  2 Bi 2.09-2.14
O (0.1368, 0.8227, 0.9618)  1 Ta 1.81
O (0.2403, 0.0444, 0.5690)  1 Ta 1.79
O (0.3632, 0.8227, 0.4618)  1 Ta 1.81
O (0.8452, 0.9871, 0.1690)  1 Ta 1.94, 1 Bi 2.15
O (0.7746, 0.2006, 0.8549)  2 Bi 2.09-2.14
O (0.6548, 0.9871, 0.6690)  1 Ta 1.94, 1 Bi 2.15
O (0.3632, 0.3227, 0.0382)  1 Ta 1.81
O (0.1368, 0.3227, 0.5382)  1 Ta 1.81
O (0.7403, 0.4556, 0.5690)  1 Ta 1.79
O (0.7403, 0.9556, 0.9310)  1 Ta 1.79
O (0.6548, 0.4871, 0.8310)  1 Ta 1.94, 1 Bi 2.15
O (0.8632, 0.6773, 0.4618)  1 Ta 1.81
O (0.8632, 0.1773, 0.0382)  1 Ta 1.81
O (0.6368, 0.6773, 0.9618)  1 Ta 1.81
O (0.8452, 0.4871, 0.3310)  1 Ta 1.94, 1 Bi 2.15
O (0.7254, 0.7006, 0.1451)  2 Bi 2.09-2.14
O (0.2254, 0.2994, 0.3549)  2 Bi 2.09-2.14
O (0.1548, 0.5129, 0.6690)  1 Ta 1.94, 1 Bi 2.15
O (0.3452, 0.5129, 0.1690)  1 Ta 1.94, 1 Bi 2.15
O (0.3774, 0.2065, 0.7038)  1 Ta 1.99
O (0.3452, 0.0129, 0.3310)  1 Ta 1.94, 1 Bi 2.15
O (0.3774, 0.7065, 0.7962)  1 Ta 1.99